[1]
A plane-wave DFT calculation with r2SCAN was carried out for crystalline UB4Os at its relaxed geometry.

Computed properties:
ρ, Mg/m³: 12.67
E_tot, eV per formula unit: -165.560
ΔE_f, eV per atom: -0.541

Cell: 5.993 5.993 3.549 Å, 90.00 90.00 104.21°
Element x y z (fractional)
U 0.300 0.700 0.000
U 0.700 0.300 0.000
B 0.621 0.621 0.500
B 0.064 0.381 0.500
B 0.619 0.936 0.500
B 0.936 0.619 0.500
B 0.908 0.092 0.500
B 0.092 0.908 0.500
B 0.381 0.064 0.500
B 0.379 0.379 0.500
Os 0.809 0.809 0.000
Os 0.191 0.191 0.000



[2]
A plane-wave DFT calculation with r2SCAN was carried out for crystalline CdAg at its relaxed geometry.

Computed properties:
ρ, Mg/m³: 9.65
E_tot, eV per formula unit: -41.526
ΔE_f, eV per atom: -0.033

Cell: 3.077 3.077 4.760 Å, 90.00 90.00 122.70°
Element x y z (fractional)
Ag 0.661 0.339 0.000
Cd 0.339 0.661 0.500



[3]
A plane-wave DFT calculation with r2SCAN was carried out for crystalline Pr2SnS5 at its relaxed geometry.

Computed properties:
ρ, Mg/m³: 5.21
E_tot, eV per formula unit: -137.118
ΔE_f, eV per atom: -1.674

Cell: 3.978 7.935 11.321 Å, 90.00 90.00 90.00°
Element x y z (fractional)
Pr 0.500 0.433 0.170
Pr 0.500 0.067 0.670
Pr 0.500 0.933 0.330
Pr 0.500 0.567 0.830
S 0.500 0.316 0.426
S 0.500 0.816 0.074
S 0.500 0.684 0.574
S 0.000 0.149 0.200
S 0.500 0.184 0.926
S 0.000 0.851 0.800
S 0.000 0.500 0.000
S 0.000 0.351 0.700
S 0.000 0.000 0.500
S 0.000 0.649 0.300
Sn 0.000 0.000 0.000
Sn 0.000 0.500 0.500



[4]
A plane-wave DFT calculation with r2SCAN was carried out for crystalline CaTeO4 at its relaxed geometry.

Computed properties:
ρ, Mg/m³: 4.63
E_tot, eV per formula unit: -68.356
ΔE_f, eV per atom: -2.002

Cell: 5.000 5.241 12.691 Å, 90.00 90.00 90.00°
Element x y z (fractional)
O 0.428 0.701 0.456
O 0.928 0.799 0.044
O 0.928 0.701 0.544
O 0.384 0.719 0.673
O 0.616 0.281 0.327
O 0.072 0.299 0.456
O 0.072 0.201 0.956
O 0.884 0.781 0.827
O 0.116 0.281 0.673
O 0.884 0.719 0.327
O 0.116 0.219 0.173
O 0.572 0.201 0.044
O 0.616 0.219 0.827
O 0.572 0.299 0.544
O 0.384 0.781 0.173
O 0.428 0.799 0.956
Te 0.750 0.500 0.428
Te 0.250 0.000 0.072
Te 0.750 0.000 0.928
Te 0.250 0.500 0.572
Ca 0.750 0.000 0.669
Ca 0.250 0.000 0.331
Ca 0.750 0.500 0.169
Ca 0.250 0.500 0.831



Which of these has the highest E_tot? CdAg



The highest E_tot belongs to which entry? CdAg